Record 1
! GGA+U Li8MnO4F2, optimized geometry; values from VASP
&SYSTEM
  ibrav = 0, nat = 60, ntyp = 4
/
ATOMIC_SPECIES
Li 6.94 Li.upf
Mn 54.94 Mn.upf
O 16.00 O.upf
F 19.00 F.upf
CELL_PARAMETERS angstrom
-5.777 1.328 1.553
1.454 6.294 5.392
-0.474 7.284 -8.446
ATOMIC_POSITIONS angstrom
Li -1.271 2.336 -0.505
Li -1.508 5.979 -4.728
Li -3.551 7.969 0.856
Li -3.788 11.611 -3.367
Li -3.289 8.928 3.226
Li -3.525 12.569 -0.997
Li -1.246 6.938 -2.357
Li -1.009 3.296 1.866
Li -3.394 1.685 0.504
Li -3.632 5.327 -3.718
Li 0.102 5.990 0.312
Li -0.135 9.632 -3.910
Li -1.165 9.579 2.217
Li -1.401 13.221 -2.006
Li -4.899 8.917 -1.814
Li -4.662 5.275 2.409
Li -2.359 4.400 -1.166
Li -2.596 8.042 -5.390
Li -4.639 10.032 0.194
Li -4.402 6.390 4.417
Li -2.201 6.865 3.889
Li -2.438 10.506 -0.335
Li -0.158 4.875 -1.695
Li -0.394 8.516 -5.919
Li 0.255 7.249 3.012
Li 0.019 10.891 -1.210
Li -3.478 6.587 -1.018
Li -3.715 10.229 -5.241
Li -4.815 4.015 -0.291
Li -5.052 7.656 -4.514
Li -1.319 8.319 -0.483
Li -1.082 4.677 3.740
Mn -0.238 3.643 -4.222
Mn -2.517 9.274 -2.862
Mn -4.323 7.621 6.943
Mn -2.280 5.633 1.362
O -0.542 6.848 4.799
O -0.780 10.490 0.577
O -4.276 6.186 0.769
O -4.513 9.828 -3.454
O -4.017 4.416 -2.078
O -4.254 8.058 -6.301
O -0.521 8.720 -2.270
O -0.284 5.079 1.953
O -0.974 3.178 -2.167
O -1.210 6.820 -6.391
O -3.254 8.810 -0.807
O -3.017 5.168 3.416
O -3.586 8.086 4.889
O -3.823 11.728 0.666
O -1.543 6.096 -0.694
O -1.780 9.738 -4.917
F -2.498 3.385 0.580
F -2.735 7.027 -3.643
F -4.778 9.017 1.941
F -5.015 12.659 -2.282
F -2.062 7.880 2.142
F -2.299 11.522 -2.081
F -0.019 5.889 -3.442
F 0.218 2.247 0.781
! E_form: -2.277 eV/atom
! energy above the most stable polymorph in this dataset: 4 meV/atom
! V: 567.9 Å³ per cell
! total energy: -0.1883 hartree per atom
! ρ: 2.48 Mg/m³


Record 2
! GGA+U Li8MnO4F2, optimized geometry; values from VASP
&SYSTEM
  ibrav = 0, nat = 30, ntyp = 4
/
ATOMIC_SPECIES
Li 6.94 Li.upf
Mn 54.94 Mn.upf
O 16.00 O.upf
F 19.00 F.upf
CELL_PARAMETERS angstrom
0.486 2.637 5.013
-4.374 -3.518 -0.898
5.906 -8.312 3.800
ATOMIC_POSITIONS angstrom
Li -1.053 -2.882 3.867
Li 1.404 -5.738 4.822
Li -0.833 -1.420 2.163
Li 3.353 -6.709 4.230
Li 2.628 -8.934 4.505
Li -0.377 -4.789 2.661
Li 0.217 -3.262 0.737
Li 2.092 -6.645 2.120
Li -1.388 -0.700 4.951
Li 0.481 -8.028 5.483
Li 1.960 -6.155 7.281
Li -3.223 -3.024 2.720
Li 1.194 -2.800 4.572
Li 4.200 -6.944 6.416
Li 3.927 -4.321 4.351
Li 1.695 -1.390 2.535
Mn -0.833 -5.017 5.910
Mn -0.099 -0.025 0.107
O 0.135 -4.322 4.390
O 4.257 -8.213 5.053
O 1.459 -7.461 3.802
O 3.984 -5.707 2.667
O -1.463 -3.298 1.869
O -2.735 -2.404 4.754
O 0.186 -1.209 3.875
O 3.109 -5.372 5.807
F 1.123 -4.972 1.416
F 1.572 -9.696 5.967
F 3.263 -7.555 8.023
F 2.814 -2.831 3.472
! E_form: -2.261 eV/atom
! energy above the most stable polymorph in this dataset: 19 meV/atom
! V: 306.2 Å³ per cell
! total energy: -0.1878 hartree per atom
! ρ: 2.30 Mg/m³


Record 3
! GGA+U Li4Mn7O9F7, optimized geometry; values from VASP
&SYSTEM
  ibrav = 0, nat = 27, ntyp = 4
/
ATOMIC_SPECIES
Li 6.94 Li.upf
Mn 54.94 Mn.upf
O 16.00 O.upf
F 19.00 F.upf
CELL_PARAMETERS angstrom
-1.338 -4.227 -4.161
2.533 -5.527 0.042
-7.077 -6.975 4.359
ATOMIC_POSITIONS angstrom
Li -0.067 -0.149 0.016
Li -0.154 -6.806 -1.965
Li -4.191 -5.481 2.163
Li -2.983 -8.541 0.104
Mn -0.175 -3.341 -0.873
Mn -2.797 -4.924 -1.075
Mn -0.781 -5.601 1.113
Mn -6.275 -8.306 1.200
Mn -5.019 -11.137 1.176
Mn -3.039 -11.838 -0.866
Mn -4.372 -8.945 3.266
O -4.549 -9.261 1.323
O -2.206 -10.083 -1.089
O -0.897 -5.348 -0.829
O -6.256 -8.497 3.132
O -0.344 -10.375 -2.894
O -3.085 -11.751 1.007
O -4.794 -11.177 -0.848
O -3.790 -13.674 -0.742
O -5.563 -13.001 1.099
F -3.759 -7.032 -0.867
F -1.445 -7.695 -2.990
F -2.733 -5.014 0.965
F -5.128 -11.137 3.322
F -1.720 -7.718 1.348
F -7.067 -10.486 1.217
F 0.392 -8.313 -0.995
! E_form: -2.407 eV/atom
! V: 316.1 Å³ per cell
! total energy: -0.2363 hartree per atom
! ρ: 3.62 Mg/m³


Record 4
! GGA+U Li2MnO2F, optimized geometry; values from VASP
&SYSTEM
  ibrav = 0, nat = 24, ntyp = 4
/
ATOMIC_SPECIES
Li 6.94 Li.upf
Mn 54.94 Mn.upf
O 16.00 O.upf
F 19.00 F.upf
CELL_PARAMETERS angstrom
0.000 5.280 -0.005
-1.653 2.634 8.164
5.781 -2.641 -0.138
ATOMIC_POSITIONS angstrom
Li 1.041 4.921 2.990
Li 3.105 2.277 7.006
Li 2.905 0.360 0.916
Li -0.812 5.637 5.064
Li 4.939 -0.363 2.957
Li 1.222 4.914 7.106
Li 1.022 2.997 1.016
Li 3.087 0.354 5.031
Mn -0.727 2.469 7.132
Mn 1.138 2.803 5.043
Mn 2.989 2.474 2.978
Mn 4.855 2.803 0.890
O 4.877 2.852 2.821
O 1.161 2.850 6.974
O 0.959 -0.215 0.892
O 3.022 2.423 4.903
O 1.105 2.852 3.118
O 3.169 5.488 7.129
O 2.967 2.425 1.047
O -0.750 2.422 5.201
F 2.991 0.201 2.976
F -0.726 5.478 7.124
F 4.853 -0.204 0.897
F 1.136 5.074 5.046
! E_form: -2.452 eV/atom
! energy above the most stable polymorph in this dataset: 35 meV/atom
! V: 248.0 Å³ per cell
! total energy: -0.2205 hartree per atom
! ρ: 3.21 Mg/m³


Record 5
! GGA+U LiMn3OF8, optimized geometry; values from VASP
&SYSTEM
  ibrav = 0, nat = 52, ntyp = 4
/
ATOMIC_SPECIES
Li 6.94 Li.upf
Mn 54.94 Mn.upf
O 16.00 O.upf
F 19.00 F.upf
CELL_PARAMETERS angstrom
5.735 0.000 0.000
0.000 5.138 0.000
0.000 3.838 22.837
ATOMIC_POSITIONS angstrom
Li 0.090 2.305 10.650
Li 5.645 4.224 22.068
Li 2.942 4.667 0.811
Li 2.794 6.586 12.229
Mn 0.833 6.862 17.282
Mn 0.235 4.666 8.710
Mn 0.163 4.920 2.729
Mn 5.500 6.585 20.128
Mn 5.573 6.839 14.148
Mn 4.902 4.943 5.864
Mn 4.241 4.803 17.032
Mn 3.053 2.299 2.670
Mn 3.031 2.055 8.759
Mn 2.704 3.974 20.178
Mn 2.683 4.218 14.088
Mn 1.494 2.884 5.614
O 0.263 3.905 6.958
O 0.170 4.099 4.481
O 5.472 5.824 18.376
O 5.566 6.018 15.899
F 1.644 6.116 8.067
F 1.600 1.319 3.400
F 1.252 5.031 20.828
F 1.451 5.505 13.352
F 0.078 0.612 1.050
F 0.084 5.569 10.324
F 0.069 1.442 5.724
F 5.666 3.361 17.142
F 5.652 7.488 21.742
F 5.658 2.531 12.468
F 4.483 3.111 9.410
F 4.284 3.586 1.934
F 4.091 8.035 19.485
F 4.135 3.238 14.819
F 4.501 5.700 7.929
F 4.491 0.910 3.326
F 4.104 5.778 13.477
F 4.309 5.266 20.906
F 3.001 2.997 7.102
F 3.087 3.165 4.362
F 3.194 5.539 5.625
F 2.945 6.301 10.381
F 2.937 1.415 1.054
F 2.790 8.220 21.799
F 2.798 3.334 12.472
F 2.541 7.458 17.043
F 2.734 4.916 18.521
F 2.649 5.084 15.781
F 1.426 3.346 9.488
F 1.631 3.859 2.058
F 1.234 7.619 19.348
F 1.244 2.829 14.744
! E_form: -2.672 eV/atom
! V: 672.9 Å³ per cell
! total energy: -0.2120 hartree per atom
! ρ: 3.35 Mg/m³


Record 6
! GGA+U Li7MnO5F, optimized geometry; values from VASP
&SYSTEM
  ibrav = 0, nat = 56, ntyp = 4
/
ATOMIC_SPECIES
Li 6.94 Li.upf
Mn 54.94 Mn.upf
O 16.00 O.upf
F 19.00 F.upf
CELL_PARAMETERS angstrom
5.498 0.069 0.349
2.229 2.362 9.281
0.208 -9.971 0.629
ATOMIC_POSITIONS angstrom
Li 3.592 0.806 3.624
Li 6.132 -0.488 8.511
Li 0.947 -4.215 3.765
Li 3.487 -5.508 8.651
Li 3.549 -8.373 1.258
Li 5.883 0.302 5.515
Li 0.696 -3.423 0.769
Li 3.237 -4.719 5.655
Li 4.702 -7.083 3.032
Li 7.036 1.593 7.288
Li 1.849 -2.132 2.544
Li 4.390 -3.428 7.429
Li 1.268 -9.199 2.786
Li 3.600 -0.520 7.041
Li 3.913 -4.180 2.645
Li 6.452 -5.470 7.530
Li 1.965 -7.906 4.961
Li 4.297 0.774 9.215
Li 4.610 -2.886 4.821
Li 7.150 -4.177 9.705
Li 1.646 -6.919 1.612
Li 4.186 -8.214 6.497
Li 4.291 -1.899 1.472
Li 6.832 -3.194 6.357
Li 2.707 -6.074 3.769
Li 5.250 -7.365 8.652
Li 5.353 -1.053 3.629
Li 2.397 -2.415 8.163
Mn 2.604 -1.324 4.756
Mn 5.145 -2.614 9.639
Mn 5.456 -6.274 5.243
Mn 2.498 -7.634 9.779
O 1.760 -8.849 0.951
O 4.091 -0.168 5.208
O 4.405 -3.828 0.811
O 1.445 -5.190 5.346
O 3.483 -6.318 1.712
O 6.027 -7.617 6.596
O 0.630 -1.368 1.223
O 3.175 -2.665 6.108
O 0.959 -7.054 3.481
O 3.294 1.631 7.733
O 3.606 -2.033 3.343
O 6.147 -3.320 8.221
O 1.774 0.135 3.800
O 4.310 -1.157 8.685
O 4.626 -4.817 4.287
O 7.163 -6.108 9.174
O 3.848 -7.298 4.822
O 6.183 1.381 9.077
O 6.493 -2.277 4.682
O 3.538 -3.639 9.218
F 4.755 -9.057 2.613
F 1.586 -0.446 6.529
F 1.901 -4.106 2.125
F 4.439 -5.397 7.017
! E_form: -2.174 eV/atom
! V: 509.1 Å³ per cell
! total energy: -0.1944 hartree per atom
! ρ: 2.64 Mg/m³


Record 7
! GGA+U Li5MnO3F, optimized geometry; values from VASP
&SYSTEM
  ibrav = 0, nat = 20, ntyp = 4
/
ATOMIC_SPECIES
Li 6.94 Li.upf
Mn 54.94 Mn.upf
O 16.00 O.upf
F 19.00 F.upf
CELL_PARAMETERS angstrom
3.702 0.000 -2.964
-1.841 -4.810 -4.433
-1.841 4.810 -4.433
ATOMIC_POSITIONS angstrom
Li 0.029 0.000 -5.747
Li -0.103 0.000 -9.025
Li -1.874 -2.064 -7.407
Li -1.796 -2.096 -4.419
Li -1.796 2.096 -4.420
Li -1.874 2.065 -7.407
Li 0.006 -2.805 -5.842
Li 0.006 2.805 -5.842
Li 1.847 -2.090 -4.507
Li 1.847 2.090 -4.507
Mn 3.645 0.000 -2.934
Mn 0.237 0.000 -3.005
O -1.877 -3.411 -5.834
O -1.877 3.411 -5.834
O 0.032 1.474 -4.456
O 0.032 -1.474 -4.456
O 1.844 -3.437 -5.977
O 1.844 3.437 -5.977
F 0.010 -1.385 -7.397
F 0.010 1.385 -7.397
! E_form: -2.189 eV/atom
! energy above the most stable polymorph in this dataset: 7 meV/atom
! V: 210.4 Å³ per cell
! total energy: -0.1954 hartree per atom
! ρ: 2.47 Mg/m³


Record 8
! GGA+U Li5MnO3F, optimized geometry; values from VASP
&SYSTEM
  ibrav = 0, nat = 40, ntyp = 4
/
ATOMIC_SPECIES
Li 6.94 Li.upf
Mn 54.94 Mn.upf
O 16.00 O.upf
F 19.00 F.upf
CELL_PARAMETERS angstrom
6.355 0.000 0.000
0.000 7.035 0.000
0.000 0.000 9.510
ATOMIC_POSITIONS angstrom
Li 0.004 6.509 3.642
Li 3.220 6.750 3.576
Li 6.312 6.750 8.331
Li 3.174 6.509 8.397
Li 1.550 5.276 1.015
Li 1.627 5.276 5.770
Li 0.004 4.043 3.642
Li 3.220 3.802 3.576
Li 6.312 3.802 8.331
Li 3.174 4.043 8.397
Li 0.043 3.233 1.179
Li 6.351 2.992 5.869
Li 3.181 2.992 1.113
Li 3.135 3.233 5.934
Li 4.727 1.759 3.740
Li 4.805 1.759 8.495
Li 6.351 0.525 5.869
Li 0.043 0.284 1.179
Li 3.135 0.284 5.934
Li 3.181 0.525 1.113
Mn 4.806 5.276 0.924
Mn 4.726 5.276 5.679
Mn 1.629 1.759 3.831
Mn 1.549 1.759 8.586
O 4.738 0.033 9.500
O 4.794 0.033 4.744
O 0.009 5.276 2.177
O 3.168 5.276 6.932
O 4.738 3.484 9.500
O 4.794 3.484 4.744
O 1.617 3.551 0.011
O 1.560 3.551 4.766
O 6.346 1.759 7.333
O 3.186 1.759 2.578
O 1.560 7.001 4.766
O 1.617 7.001 0.011
F 0.060 5.276 7.054
F 3.117 5.276 2.299
F 6.294 1.759 2.456
F 3.238 1.759 7.211
! E_form: -2.177 eV/atom
! energy above the most stable polymorph in this dataset: 19 meV/atom
! V: 425.1 Å³ per cell
! total energy: -0.1949 hartree per atom
! ρ: 2.45 Mg/m³


Record 9
! GGA+U Li4MnO2F3, optimized geometry; values from VASP
&SYSTEM
  ibrav = 0, nat = 40, ntyp = 4
/
ATOMIC_SPECIES
Li 6.94 Li.upf
Mn 54.94 Mn.upf
O 16.00 O.upf
F 19.00 F.upf
CELL_PARAMETERS angstrom
5.290 4.281 0.790
2.619 0.767 7.184
5.111 -5.841 -0.645
ATOMIC_POSITIONS angstrom
Li 9.066 -3.317 3.341
Li 3.865 -2.537 3.269
Li 2.600 -0.390 0.036
Li 10.420 -0.403 7.292
Li 6.463 2.335 5.316
Li 6.374 -2.727 4.598
Li 6.557 -3.128 2.012
Li 6.646 1.933 2.730
Li 9.069 -2.789 6.277
Li 9.158 2.272 6.995
Li 3.951 1.996 1.051
Li 3.862 -3.065 0.333
Li 2.448 0.089 2.952
Li 7.649 -0.691 3.024
Li 10.572 -0.883 4.376
Li 5.371 -0.102 4.304
Mn 5.221 -0.647 1.489
Mn 2.599 0.635 5.767
Mn 10.421 -1.428 1.561
Mn 7.799 -0.145 5.840
O 7.246 1.173 7.127
O 7.157 -3.889 6.409
O 5.774 -1.966 0.202
O 5.863 3.095 0.919
O 5.852 3.474 3.722
O 5.763 -1.587 3.005
O 7.168 -4.267 3.606
O 7.257 0.794 4.323
F 8.371 -2.266 1.733
F 3.170 -1.486 1.661
F 4.649 1.473 5.596
F 9.850 0.693 5.668
F 3.216 -0.912 4.587
F 8.417 -1.693 4.659
F 9.804 0.119 2.741
F 4.603 0.899 2.669
F 10.973 -1.987 6.042
F 5.772 -1.207 5.970
F 2.047 1.194 1.286
F 7.248 0.414 1.358
! E_form: -2.682 eV/atom
! energy above the most stable polymorph in this dataset: 0 meV/atom
! V: 368.6 Å³ per cell
! total energy: -0.2015 hartree per atom
! ρ: 3.09 Mg/m³